No. 1
Entry from the Materials Project database: an optimized crystal structure of FeCo2O4 (PBE+U).

CIF file:
```
data_FeCo2O4
_chemical_formula_sum 'Fe2 Co4 O8'
_symmetry_space_group_name_H-M 'P 1'
_symmetry_Int_Tables_number 1
_cell_length_a 5.9399
_cell_length_b 5.9399
_cell_length_c 5.9399
_cell_angle_alpha 119.31
_cell_angle_beta 119.14
_cell_angle_gamma 91.35
loop_
_symmetry_equiv_pos_as_xyz
'x,y,z'
loop_
_atom_site_label
_atom_site_type_symbol
_atom_site_fract_x
_atom_site_fract_y
_atom_site_fract_z
Fe1 Fe 0.0000 0.0000 0.0000
Fe2 Fe 0.5000 0.0000 0.5000
Co1 Co 0.0000 0.0000 0.5000
Co2 Co 0.0000 0.5000 0.0000
Co3 Co 0.3716 0.6216 0.7500
Co4 Co 0.6284 0.3784 0.2500
O1 O 0.2223 0.2413 0.9811
O2 O 0.2347 0.2162 0.4815
O3 O 0.2347 0.7533 0.0185
O4 O 0.2398 0.7587 0.4811
O5 O 0.7602 0.2413 0.5189
O6 O 0.7653 0.2467 0.9815
O7 O 0.7653 0.7838 0.5185
O8 O 0.7777 0.7587 0.0189
```

---

No. 2
Entry from the Materials Project database: an optimized crystal structure of Li5Fe8B8O24 (PBE+U).

Calculated values
Spin magnetization   35.0 Bohr magnetons per cell

CIF file:
```
data_Li5Fe8B8O24
_chemical_formula_sum 'Li5 Fe8 B8 O24'
_symmetry_space_group_name_H-M 'P 1'
_symmetry_Int_Tables_number 1
_cell_length_a 5.2185
_cell_length_b 9.1176
_cell_length_c 11.3306
_cell_angle_alpha 112.35
_cell_angle_beta 102.55
_cell_angle_gamma 90.02
loop_
_symmetry_equiv_pos_as_xyz
'x,y,z'
loop_
_atom_site_label
_atom_site_type_symbol
_atom_site_fract_x
_atom_site_fract_y
_atom_site_fract_z
Li1 Li 0.0000 0.0000 0.0000
Li2 Li 0.0499 0.0304 0.7363
Li3 Li 0.3216 0.2743 0.2551
Li4 Li 0.5083 0.5044 0.9998
Li5 Li 0.7840 0.7459 0.4979
Fe1 Fe 0.0422 0.3565 0.7146
Fe2 Fe 0.2609 0.5620 0.4753
Fe3 Fe 0.2879 0.9194 0.2203
Fe4 Fe 0.5062 0.1535 0.9686
Fe5 Fe 0.5503 0.8417 0.7279
Fe6 Fe 0.7693 0.0661 0.4662
Fe7 Fe 0.7939 0.4436 0.2178
Fe8 Fe 0.9850 0.6479 0.9680
B1 B 0.0488 0.6814 0.7146
B2 B 0.2571 0.8844 0.4665
B3 B 0.2883 0.5963 0.2151
B4 B 0.5004 0.8171 0.9768
B5 B 0.5358 0.1827 0.7161
B6 B 0.7543 0.4037 0.4716
B7 B 0.7842 0.1013 0.2150
B8 B 0.9930 0.3073 0.9577
O1 O 0.0086 0.9009 0.4868
O2 O 0.0447 0.0834 0.2025
O3 O 0.1043 0.1676 0.9503
O4 O 0.1117 0.4169 0.9213
O5 O 0.1335 0.7051 0.1800
O6 O 0.1889 0.4970 0.2680
O7 O 0.2623 0.8496 0.0189
O8 O 0.2769 0.6516 0.6669
O9 O 0.3714 0.9744 0.4132
O10 O 0.3893 0.3040 0.7104
O11 O 0.4125 0.7719 0.5000
O12 O 0.4414 0.0662 0.7520
O13 O 0.4841 0.3945 0.4511
O14 O 0.5344 0.5847 0.1937
O15 O 0.6101 0.9259 0.9371
O16 O 0.6157 0.6830 0.9723
O17 O 0.6440 0.2168 0.1839
O18 O 0.6592 0.0051 0.2590
O19 O 0.7598 0.3408 0.0008
O20 O 0.7889 0.1732 0.6874
O21 O 0.8769 0.5168 0.4390
O22 O 0.9013 0.3038 0.5182
O23 O 0.9191 0.8119 0.7105
O24 O 0.9602 0.5782 0.7631
```

---

No. 3
Entry from the Materials Project database: an optimized crystal structure of FePH5CO4 (PBE+U).

Calculated values
Spin magnetization   8.0 Bohr magnetons per cell

CIF file:
```
data_FePH5CO4
_chemical_formula_sum 'Fe2 P2 H10 C2 O8'
_symmetry_space_group_name_H-M 'P 1'
_symmetry_Int_Tables_number 1
_cell_length_a 5.8004
_cell_length_b 4.8457
_cell_length_c 9.0431
_cell_angle_alpha 90.00
_cell_angle_beta 90.43
_cell_angle_gamma 90.00
loop_
_symmetry_equiv_pos_as_xyz
'x,y,z'
loop_
_atom_site_label
_atom_site_type_symbol
_atom_site_fract_x
_atom_site_fract_y
_atom_site_fract_z
Fe1 Fe 0.2489 0.0000 0.4738
Fe2 Fe 0.7511 0.5000 0.5262
P1 P 0.2536 0.5646 0.6893
P2 P 0.7464 0.0646 0.3107
H1 H 0.0949 0.5458 0.9347
H2 H 0.1132 0.5743 0.3023
H3 H 0.2499 0.8591 0.9017
H4 H 0.3834 0.5660 0.3034
H5 H 0.4030 0.5452 0.9374
H6 H 0.5970 0.0452 0.0626
H7 H 0.6166 0.0660 0.6966
H8 H 0.7501 0.3591 0.0983
H9 H 0.8868 0.0743 0.6977
H10 H 0.9051 0.0458 0.0653
C1 C 0.2495 0.6351 0.8847
C2 C 0.7505 0.1351 0.1153
O1 O 0.0436 0.7167 0.6150
O2 O 0.2485 0.2528 0.6649
O3 O 0.2509 0.6922 0.2944
O4 O 0.4733 0.7061 0.6241
O5 O 0.5267 0.2061 0.3759
O6 O 0.7491 0.1922 0.7056
O7 O 0.7515 0.7528 0.3351
O8 O 0.9564 0.2167 0.3850
```

---

In eV per atom, the DFT formation energy values for the records above are, in order, -1.43 -2.28 -1.33.